# 1
An optimized crystal structure of FeBPH2O6. Source: the Materials Project database, functional PBE+U.

Cell and atoms, written as extended XYZ:
```
66
Lattice="-1.418 1.763 7.272 -5.051 -4.075 -3.985 5.812 -10.895 3.774" Properties=species:S:1:pos:R:3 pbc="T T T"
B 1.962 -8.577 7.200
B 0.988 -11.561 3.746
B -3.022 -4.774 0.065
B -0.045 -7.748 1.621
B 0.607 -5.023 4.821
B -2.461 -1.937 3.729
O 0.769 -4.471 0.536
O -2.375 0.887 6.317
O 0.458 -4.437 3.489
O 1.642 -9.360 8.424
O -1.120 -7.129 2.394
O -3.854 -1.508 3.858
O -2.910 -5.212 1.523
O 2.219 -7.184 7.570
O -4.465 -4.622 -0.262
O 0.287 -6.956 0.407
O 3.068 -9.170 6.452
O -1.289 -9.133 4.970
O 3.557 -9.598 3.153
O -2.290 -3.524 -0.120
O 2.053 -5.180 5.132
O 0.277 -11.457 2.474
O -1.721 -8.759 -1.021
O 0.125 -2.058 1.703
O -2.461 -5.874 -0.720
O 0.585 -14.499 1.319
O 0.717 -8.544 6.318
O 0.919 -10.294 4.521
O 2.457 -11.873 3.477
O -0.485 -9.140 1.174
O -3.115 -5.413 3.994
O 0.021 -3.998 5.788
O 3.453 -6.992 4.046
O -2.406 -3.210 2.961
O 0.497 -12.663 4.574
O 1.280 -4.371 7.972
O -0.117 -6.285 4.961
O 1.168 -7.954 2.412
O -1.790 -2.055 5.022
O -0.387 -10.813 6.666
O -4.825 -4.022 2.709
O -1.773 -0.854 2.903
H -1.112 -2.775 5.063
H 3.201 -10.136 6.622
H -2.853 -2.711 -0.072
H 0.356 -13.497 4.092
H -1.703 -6.526 1.869
H 0.320 -6.940 5.560
H -0.451 -4.451 3.142
H -3.993 -0.775 4.483
H 1.013 -8.321 3.300
H -1.490 -5.937 -0.689
H 0.175 -10.532 2.139
H 2.594 -6.641 6.855
Fe -5.644 -2.017 2.867
Fe 4.497 -8.649 4.918
Fe -1.986 -7.196 4.372
Fe 1.756 -3.407 2.186
Fe 3.230 -7.783 2.008
Fe -0.263 -2.809 -0.343
P -3.361 -4.451 2.823
P -0.087 -4.064 7.355
P -0.277 -0.771 2.428
P -1.716 -9.552 0.287
P -0.043 -9.738 5.634
P 3.511 -11.044 2.656
```

Computed properties:
* energy of formation: -2.1801 eV/atom
* total moment: 0.36 μB per atom
* SG: No. 152
* energy relative to the lowest polymorph listed for this composition: 0.000 eV/f.u.
* energy with MP2020 corrections: -486.104 eV/cell

# 2
An optimized crystal structure of SrLa2Mn2O7. Source: the Materials Project database, functional PBE+U.

Cell and atoms, written as extended XYZ:
```
24
Lattice="4.078 1.888 3.303 2.138 2.867 -4.278 -7.840 7.157 0.879" Properties=species:S:1:pos:R:3 pbc="T T T"
Mn -1.133 1.583 0.495
Mn -3.608 7.966 -0.098
Mn 1.934 4.018 0.025
Mn -2.628 7.461 3.688
O -1.973 9.162 -0.359
O -5.194 6.700 0.141
O 0.450 2.607 0.221
O 3.673 5.073 -0.286
O 1.558 4.092 -1.995
O 0.704 5.733 0.560
O -2.417 3.373 1.053
O 2.563 3.583 1.936
O -1.480 5.856 3.185
O -2.462 6.362 -0.600
O -4.687 9.472 0.372
O -3.686 8.938 4.148
O -3.079 7.678 1.854
O -4.088 8.184 -2.073
La -3.689 5.153 1.610
La 0.989 1.546 -2.104
La -0.586 7.536 1.124
La 1.959 1.057 1.687
Sr -1.067 4.417 -1.207
Sr -0.096 3.926 2.583
```

Computed properties:
* energy of formation: -2.9880 eV/atom
* total moment: 0.67 μB per atom
* SG: No. 38
* energy relative to the lowest polymorph listed for this composition: 0.135 eV/f.u.
* energy with MP2020 corrections: -200.755 eV/cell

# 3
An optimized crystal structure of Li6V3P8O29. Source: the Materials Project database, functional PBE+U.

Cell and atoms, written as extended XYZ:
```
92
Lattice="-9.803 0.024 0.041 -4.922 8.533 0.010 0.057 0.016 -13.864" Properties=species:S:1:pos:R:3 pbc="T T T"
O -5.947 6.790 -3.442
O -7.620 0.130 -0.869
O -5.705 5.730 -9.103
O -13.595 6.811 -10.292
O -11.240 5.731 -2.321
O -6.355 2.803 -4.578
O -4.171 4.153 -4.557
O -7.112 8.523 -12.906
O -6.958 3.278 -9.391
O -8.962 2.893 -4.704
O -4.829 2.864 -13.593
O -9.012 6.943 -2.237
O -6.922 8.523 -10.379
O -4.891 2.876 -6.641
O -2.882 0.700 -2.212
O -10.626 2.868 -11.658
O -6.341 4.535 -2.334
O -9.797 5.673 -0.208
O -8.629 1.973 -12.894
O -7.805 7.836 -4.736
O -11.188 4.089 -4.482
O -6.012 6.618 -0.918
O -4.166 0.800 -9.392
O -1.187 1.954 -5.944
O -3.867 6.709 -12.841
O -10.501 4.495 -9.335
O -6.912 6.351 -11.642
O -7.287 8.506 -7.844
O -3.377 2.833 -11.517
O -8.455 4.116 -11.492
O -10.767 1.819 -3.371
O -7.749 5.309 -4.465
O -13.472 6.497 -7.782
O -11.763 7.880 -11.631
O -8.751 1.822 -10.363
O -7.736 2.213 -2.209
O -5.617 0.804 -2.328
O -10.502 7.723 -4.429
O -8.542 2.107 -7.798
O -1.126 1.915 -0.901
O -2.789 3.227 -2.326
O -9.129 4.372 -2.239
O -11.850 5.377 -11.524
O -6.079 6.461 -5.966
O -2.057 2.162 -9.125
O -9.782 5.744 -7.167
O -5.528 4.186 -11.541
O -4.093 1.607 -4.595
O -6.890 0.733 -9.119
O -8.303 5.772 -9.224
O -3.532 4.449 -9.342
O -7.383 0.056 -5.958
O -10.576 6.987 -9.215
O -4.072 5.660 -2.206
O -9.064 7.630 -11.493
O -12.659 6.415 -4.701
O -7.759 0.026 -3.426
O -5.645 1.636 -11.538
P -4.155 5.825 -9.088
P -9.777 5.739 -8.654
P -7.538 7.774 -11.660
P -12.035 7.808 -4.689
P -7.795 1.995 -9.069
P -5.576 5.850 -2.165
P -2.631 0.766 -9.103
P -12.720 6.645 -11.642
P -9.096 2.720 -11.658
P -1.956 1.953 -2.176
P -4.880 2.872 -5.145
P -4.861 2.876 -12.098
P -10.508 2.735 -4.718
P -9.787 5.693 -1.716
P -7.132 0.780 -2.136
P -6.908 6.578 -4.715
V -4.243 0.030 -3.472
V -5.529 0.043 -10.352
V -7.676 3.713 -3.464
V -6.969 4.851 -10.339
V -2.090 3.708 -10.342
V -12.539 4.861 -3.359
Li -6.939 0.875 -13.012
Li -2.104 2.037 -13.027
Li -2.661 0.838 -6.096
Li -5.491 5.662 -13.040
Li -11.991 7.757 -7.700
Li -7.792 1.974 -6.044
Li -9.823 5.711 -12.218
Li -14.546 8.388 -0.036
Li -4.232 5.775 -6.059
Li -6.939 6.608 -7.719
Li -7.681 7.696 -0.882
Li -9.127 2.834 -0.869
```

Computed properties:
* energy of formation: -2.6559 eV/atom
* total moment: 0.07 μB per atom
* SG: No. 1
* energy relative to the lowest polymorph listed for this composition: 0.306 eV/f.u.
* energy with MP2020 corrections: -695.351 eV/cell

# 4
An optimized crystal structure of Li3VB2O6. Source: the Materials Project database, functional PBE+U.

Cell and atoms, written as extended XYZ:
```
48
Lattice="8.765 0.000 0.000 0.000 5.971 0.000 0.000 5.898 8.608" Properties=species:S:1:pos:R:3 pbc="T T T"
O 3.021 4.064 4.185
O 0.771 4.120 1.010
O 6.854 9.702 5.885
O 5.612 2.991 1.092
O 6.293 6.752 1.581
O 1.911 2.168 2.723
O 5.154 4.801 3.294
O 4.673 10.827 7.720
O 1.361 7.013 8.489
O 7.781 4.431 2.507
O 8.474 7.878 3.416
O 1.230 5.930 3.212
O 3.153 8.879 7.516
O 3.611 7.069 5.314
O 5.744 7.806 4.423
O 2.471 5.117 7.027
O 0.984 7.438 6.102
O 7.993 7.750 7.598
O 5.366 7.381 6.811
O 7.535 5.940 5.396
O 7.403 4.857 0.119
O 4.092 1.043 0.888
O 0.290 3.992 5.192
O 3.398 4.489 1.798
Li 6.499 3.019 2.987
Li 8.041 1.286 0.844
Li 6.395 9.036 7.721
Li 6.752 6.087 3.417
Li 5.106 4.235 5.148
Li 2.012 5.783 5.191
Li 0.724 10.584 7.765
Li 2.117 5.901 1.317
Li 2.370 2.834 0.887
Li 3.658 7.635 3.460
Li 6.648 5.969 7.292
Li 2.265 8.850 5.621
B 5.314 1.670 1.171
B 8.194 4.468 1.175
B 3.811 4.453 3.129
B 3.451 10.200 7.438
B 0.571 7.402 7.433
B 0.932 7.251 3.134
B 4.953 7.417 5.479
B 7.833 4.619 5.475
V 5.249 4.998 1.128
V 3.515 6.872 7.480
V 7.897 7.947 5.432
V 0.867 3.922 3.176
```

Computed properties:
* energy of formation: -2.5702 eV/atom
* total moment: 0.17 μB per atom
* SG: No. 14
* energy relative to the lowest polymorph listed for this composition: 0.712 eV/f.u.
* energy with MP2020 corrections: -354.800 eV/cell

# 5
An optimized crystal structure of Na5V2P3O15. Source: the Materials Project database, functional PBE+U.

Cell and atoms, written as extended XYZ:
```
25
Lattice="0.000 0.000 5.227 -6.360 0.000 0.128 -3.180 -10.167 0.064" Properties=species:S:1:pos:R:3 pbc="T T T"
O -6.391 -8.946 2.216
O -6.247 -3.857 4.276
O -5.108 -3.042 2.138
O -1.307 0.000 4.697
O -3.211 -1.221 2.152
O -4.546 0.000 3.974
O -4.429 -7.146 2.201
O -5.377 0.000 1.564
O -6.371 -5.214 2.087
O -6.393 -6.977 4.388
O -3.213 -3.190 4.324
O -3.067 -6.310 4.212
O -3.191 -4.953 2.023
O -1.249 -3.021 2.137
O -8.288 -7.126 2.202
Na -1.174 0.000 2.096
Na -5.259 -1.752 5.271
Na -8.439 -8.415 5.335
Na -4.802 -5.333 0.196
Na -1.622 -4.835 0.132
P -6.338 -3.785 2.759
P -4.178 0.000 2.505
P -3.158 -6.383 2.695
V -6.359 -7.102 2.744
V -3.179 -3.066 2.680
```

Computed properties:
* energy of formation: -2.4272 eV/atom
* total moment: 0.13 μB per atom
* SG: No. 8
* energy with MP2020 corrections: -175.919 eV/cell

# 6
An optimized crystal structure of MnMoH2SeO7. Source: the Materials Project database, functional PBE+U.

Cell and atoms, written as extended XYZ:
```
24
Lattice="-4.959 -0.637 1.072 3.726 -0.624 5.760 0.013 9.138 0.563" Properties=species:S:1:pos:R:3 pbc="T T T"
O -0.333 7.767 5.471
O -0.071 4.431 1.538
O -2.761 5.242 1.525
O 1.858 0.102 4.780
O -3.078 7.776 2.615
O -4.104 1.445 1.226
O -2.416 2.912 2.931
O -1.506 5.920 3.805
O 2.884 6.433 6.169
O 1.195 4.965 4.464
O -0.887 0.110 1.924
O -1.150 3.446 5.856
O 1.541 2.636 5.870
O 0.285 1.958 3.590
H 0.525 8.229 5.289
H -1.745 -0.352 2.106
H -0.581 7.142 4.747
H -0.639 0.735 2.648
Mn -0.610 3.939 3.697
Mn 0.000 0.000 0.000
Se -3.042 6.162 3.118
Se 1.822 1.716 4.276
Mo -3.590 3.084 1.609
Mo 2.370 4.794 5.786
```

Computed properties:
* energy of formation: -1.6564 eV/atom
* total moment: 0.42 μB per atom
* SG: No. 2
* energy relative to the lowest polymorph listed for this composition: 0.000 eV/f.u.
* energy with MP2020 corrections: -169.604 eV/cell

# 7
An optimized crystal structure of Fe2CuO4. Source: the Materials Project database, functional PBE+U.

Cell and atoms, written as extended XYZ:
```
56
Lattice="-4.518 2.966 -2.756 -5.546 0.250 2.446 -7.555 20.397 9.152" Properties=species:S:1:pos:R:3 pbc="T T T"
Fe -7.172 8.811 4.895
Fe -10.065 3.231 -0.303
Fe -8.999 13.896 7.176
Fe -4.712 5.073 0.041
Fe -6.652 12.307 5.108
Fe -8.486 15.251 4.580
Fe -6.493 2.700 0.126
Fe -6.655 10.175 2.281
Fe -3.932 10.143 4.517
Fe -10.306 20.345 6.906
Fe -5.217 3.740 2.596
Fe -8.438 7.757 2.381
Fe -8.501 17.375 7.388
Fe -1.955 5.083 2.266
Fe -10.811 19.012 9.461
Fe -5.765 15.283 6.837
O -10.025 18.502 7.675
O -10.890 13.509 6.459
O -9.762 12.120 2.827
O -7.190 10.725 4.177
O -11.022 20.839 8.698
O -10.235 10.871 5.220
O -13.434 14.962 5.154
O -13.887 21.118 9.880
O -12.258 19.872 6.348
O -11.604 9.894 2.871
O -6.574 8.279 3.022
O -15.216 20.088 7.477
O -8.297 5.818 3.027
O -8.157 13.426 5.395
O -10.366 7.259 1.740
O -11.584 17.280 5.157
O -9.088 8.457 4.172
O -13.404 22.394 7.436
O -7.096 3.325 1.933
O -14.307 17.363 6.235
O -8.619 9.694 1.802
O -12.058 16.029 7.554
O -9.069 15.797 6.452
O -10.419 14.751 4.079
O -7.806 7.116 0.541
O -4.608 3.185 0.752
O -5.439 5.575 1.835
O -15.980 22.535 8.603
O -9.508 4.811 0.632
O -6.615 4.598 -0.507
O -12.489 12.260 3.931
O -12.741 18.598 8.789
Cu -10.317 12.821 4.652
Cu -12.172 17.948 6.962
Cu -11.254 15.408 5.818
Cu -4.859 7.218 2.807
Cu -9.393 10.268 3.503
Cu -2.937 2.090 0.510
Cu -7.431 5.206 1.249
Cu -13.067 20.494 8.114
```

Computed properties:
* energy of formation: -1.3708 eV/atom
* total moment: 1.54 μB per atom
* SG: No. 8
* energy relative to the lowest polymorph listed for this composition: 0.255 eV/f.u.
* energy with MP2020 corrections: -403.416 eV/cell

# 8
An optimized crystal structure of MgCr2O4. Source: the Materials Project database, functional PBE+U.

Cell and atoms, written as extended XYZ:
```
7
Lattice="-2.771 0.770 0.894 -1.957 -4.182 -2.466 1.072 -1.742 4.819" Properties=species:S:1:pos:R:3 pbc="T T T"
Cr -1.873 -4.114 -2.262
Cr -2.076 -2.777 1.029
O -2.778 -3.342 -0.659
O -0.762 -1.718 4.188
O -0.600 -4.060 1.634
O -0.270 -1.852 0.757
Mg 0.176 -2.464 2.664
```

Computed properties:
* energy of formation: -2.2138 eV/atom
* total moment: 0.86 μB per atom
* SG: No. 38
* energy relative to the lowest polymorph listed for this composition: 2.936 eV/f.u.
* energy with MP2020 corrections: -56.195 eV/cell

# 9
An optimized crystal structure of LiMnO2. Source: the Materials Project database, functional PBE+U.

Cell and atoms, written as extended XYZ:
```
8
Lattice="3.164 -0.161 0.115 -0.279 5.137 -0.115 0.199 -0.114 5.167" Properties=species:S:1:pos:R:3 pbc="T T T"
O 1.611 0.735 4.083
O 3.054 3.223 4.083
O 0.088 1.606 1.079
O 1.531 4.094 1.079
Mn 1.579 2.409 5.042
Mn 3.300 -0.241 5.156
Li 3.059 3.218 2.190
Li 1.617 0.730 2.190
```

Computed properties:
* largest piezoelectric modulus: 0.82 C/m2
* energy of formation: -2.1379 eV/atom
* energy with MP2020 corrections: -59.037 eV/cell

# 10
An optimized crystal structure of YMg6MnO8. Source: the Materials Project database, functional PBE+U.

Cell and atoms, written as extended XYZ:
```
16
Lattice="-5.883 -2.753 -6.160 2.523 -3.600 -0.800 -2.231 -2.262 3.142" Properties=species:S:1:pos:R:3 pbc="T T T"
O 1.262 -1.800 -0.400
O -4.278 -5.002 -3.462
O -1.312 -3.614 -0.356
O -1.448 -0.678 -1.517
O -1.680 -3.177 -3.480
O -4.434 -2.076 -4.643
O -4.057 -2.508 -1.509
O -1.116 -1.131 1.571
Mg -2.795 -4.308 -1.909
Mg -5.609 -3.234 -3.135
Mg 0.146 -2.931 1.171
Mg -3.232 -3.903 -5.106
Mg -0.127 -2.450 -1.855
Mg -2.505 -1.781 0.117
Mn 0.000 0.000 0.000
Y -2.941 -1.377 -3.080
```

Computed properties:
* energy of formation: -2.7840 eV/atom
* total moment: 0.31 μB per atom
* SG: No. 123
* energy relative to the lowest polymorph listed for this composition: 0.537 eV/f.u.
* energy with MP2020 corrections: -109.359 eV/cell

> Look up the energy of formation of the first one.

-2.1801 eV/atom